VASP calculation (PBE) on an optimized crystal structure of Ho2Ni7.

DFT formation energy: -9.24 kcal/mol of atoms
mass density: 9.76 Mg/m³
DFT total energy: -106.46 eV for the cell shown
SG: No. 166
size of the total moment: 1.32 μB/f.u.

Cell and atoms, written as POSCAR:
```
Ho2Ni7
1.0
2.4618 1.4213 12.0021
-2.4618 1.4213 12.0021
0.0000 -2.8426 12.0021
Ho Ni
4 14
Cartesian
0.0000 0.0000 1.8581
0.0000 0.0000 5.3305
0.0000 0.0000 30.6759
0.0000 0.0000 34.1483
-1.2309 -0.7107 12.0021
-1.2369 -0.7141 15.9681
0.0000 0.0000 10.0126
0.0000 0.0000 13.9955
0.0000 -1.4282 20.0383
-1.2369 0.7141 20.0383
-1.2309 0.7107 24.0042
0.0000 1.4213 12.0021
0.0000 0.0000 18.0032
1.2369 -0.7141 15.9681
0.0000 1.4282 15.9681
0.0000 0.0000 22.0108
0.0000 0.0000 25.9937
1.2369 0.7141 20.0382
```